[1]
A geometry-optimized Li4Mn2P4H3O16 structure. Source: the Materials Project database, functional PBE with a Hubbard U.

Properties
VASP energy = -192.403 eV/f.u.
energy relative to the elements = -2.406 eV/atom
maximum piezoelectric response = 0.587 C/m²

Structure (extended XYZ):
```
29
Lattice="5.002 0.000 0.000 -1.371 7.554 0.000 -0.337 -0.246 8.235" Properties=species:S:1:pos:R:3 pbc="T T T"
Li 0.000 0.000 0.000
Li 0.452 2.222 6.160
Li 1.708 3.487 1.796
Li 2.456 6.263 4.313
Mn 0.258 1.115 3.052
Mn 1.907 4.722 7.205
P -0.207 6.736 5.929
P 1.255 6.771 1.656
P 2.896 2.979 4.481
P 4.383 2.959 0.192
H -0.709 4.401 3.711
H -0.143 5.301 2.340
H 2.424 0.823 7.070
O -1.252 6.050 6.801
O -0.115 2.703 1.633
O -0.734 7.076 4.531
O 0.100 3.478 7.605
O 1.330 -0.009 1.462
O 0.830 5.321 2.319
O 1.517 0.584 6.622
O 1.100 5.885 5.788
O 1.946 2.390 3.451
O 2.158 3.320 5.789
O 1.977 6.418 0.340
O 2.219 7.361 2.672
O 3.091 3.871 0.361
O 3.706 1.379 7.728
O 3.331 4.439 3.850
O 4.192 2.204 4.669
```

[2]
A geometry-optimized Li2FePCO7 structure. Source: the Materials Project database, functional PBE with a Hubbard U.

Properties
offset from the most stable computed form = 0.97 kJ/mol of atoms
VASP energy = -81.924 eV/f.u.
energy relative to the elements = -2.285 eV/atom

Structure (extended XYZ):
```
48
Lattice="5.091 0.000 0.000 -0.026 6.511 0.000 -1.409 -0.163 16.569" Properties=species:S:1:pos:R:3 pbc="T T T"
Li 0.000 0.000 0.000
Li 4.372 2.748 8.288
Li 2.156 3.205 4.555
Li 1.463 3.111 12.862
Li 1.774 1.219 9.765
Li 2.483 1.423 1.487
Li 4.759 4.635 3.089
Li 4.066 4.671 11.358
Fe 2.116 4.662 7.829
Fe 1.415 4.435 16.121
Fe 3.706 1.173 13.311
Fe 4.419 1.310 5.026
P -1.064 4.498 14.047
P -0.358 4.560 5.769
P 1.099 1.243 15.383
P 1.803 1.406 7.089
C -0.687 1.427 10.910
C 0.025 1.371 2.618
C 1.428 4.448 10.237
C 2.130 4.659 1.955
O 0.475 1.224 1.443
O -0.235 1.522 9.724
O 0.286 1.554 6.756
O -0.415 1.073 15.045
O 0.120 1.415 11.944
O 0.831 1.530 3.644
O 0.615 4.481 9.207
O 1.326 4.845 0.935
O 0.450 4.342 14.387
O 1.158 4.398 6.100
O 1.676 4.461 3.127
O 0.979 4.324 11.421
O 1.313 2.455 16.331
O 2.055 0.118 7.910
O 2.237 2.540 8.066
O 1.571 0.034 16.240
O 1.882 1.403 14.063
O 2.594 1.478 5.766
O 2.700 4.569 9.938
O 3.408 4.652 1.652
O 3.129 1.313 11.206
O 3.837 1.339 2.926
O 3.942 4.482 7.092
O 3.242 4.659 15.367
O 3.566 3.287 13.194
O 4.289 3.428 4.790
O 3.798 5.710 13.099
O 4.491 5.851 4.952
```

[3]
A geometry-optimized Na2Li3FeO4 structure. Source: the Materials Project database, functional PBE with a Hubbard U.

Properties
VASP energy = -50.626 eV/f.u.
energy relative to the elements = -1.900 eV/atom

Structure (extended XYZ):
```
40
Lattice="8.031 0.000 0.000 0.000 8.386 0.000 0.000 0.000 6.653" Properties=species:S:1:pos:R:3 pbc="T T T"
Na 0.000 0.000 1.597
Na 0.000 0.000 5.056
Na 1.941 2.083 3.327
Na 2.075 6.276 0.000
Na 4.016 4.193 1.730
Na 4.016 4.193 4.924
Na 5.957 2.110 0.000
Na 6.091 6.303 3.327
Li 0.111 5.435 1.703
Li 0.111 5.435 4.951
Li 1.864 4.902 3.327
Li 2.151 0.709 0.000
Li 3.905 1.242 1.624
Li 3.905 1.242 5.029
Li 4.127 7.144 1.624
Li 4.127 7.144 5.029
Li 5.880 7.677 0.000
Li 6.167 3.484 3.327
Li 7.920 2.951 1.703
Li 7.920 2.951 4.951
Fe 1.816 3.161 0.000
Fe 2.200 7.354 3.327
Fe 5.831 1.032 3.327
Fe 6.216 5.225 0.000
O 0.388 1.867 0.000
O 0.485 6.497 3.327
O 1.577 4.107 1.624
O 1.577 4.107 5.029
O 2.439 8.300 1.702
O 2.439 8.300 4.951
O 3.531 2.304 0.000
O 3.628 6.060 3.327
O 4.404 2.326 3.327
O 4.501 6.082 0.000
O 5.592 0.086 1.702
O 5.592 0.086 4.951
O 6.455 4.279 1.624
O 6.455 4.279 5.029
O 7.546 1.889 3.327
O 7.643 6.519 0.000
```

[4]
A geometry-optimized Li4Co3NiO8 structure. Source: the Materials Project database, functional PBE with a Hubbard U.

Properties
offset from the most stable computed form = 5.31 kJ/mol of atoms
VASP energy = -87.467 eV/f.u.
energy relative to the elements = -1.631 eV/atom

Structure (extended XYZ):
```
32
Lattice="5.793 0.000 0.000 2.893 5.027 0.000 0.001 3.338 9.646" Properties=species:S:1:pos:R:3 pbc="T T T"
Li 1.428 0.831 2.299
Li 2.893 3.357 2.323
Li 2.896 5.023 7.262
Li 4.325 7.523 7.338
Li 4.362 0.843 2.308
Li 5.791 3.342 2.385
Li 5.794 5.008 7.323
Li 7.259 7.534 7.348
Co 0.000 1.669 4.823
Co 1.447 2.513 0.000
Co 1.447 4.183 4.823
Co 2.897 0.000 0.000
Co 4.343 2.513 0.000
Co 4.343 4.183 4.823
Ni 0.000 0.000 0.000
Ni 2.897 1.669 4.823
O 1.391 2.576 3.822
O 2.888 6.637 8.491
O 2.895 5.019 3.805
O 1.494 4.196 8.494
O 2.898 3.474 5.825
O 4.287 5.790 5.826
O 2.898 1.674 1.182
O 4.386 4.158 1.151
O 4.301 4.207 8.495
O 5.789 6.691 8.464
O 4.400 2.575 3.820
O 5.789 4.891 3.821
O 7.193 4.169 1.153
O 5.792 3.346 5.841
O 5.799 1.728 1.155
O 7.296 5.789 5.825
```